(one)
This record from Materials Project describes Sr3RhF12 after structural relaxation. The functional is PBE.

Cell and atoms, written as extended XYZ:
```
16
Lattice="3.0905 -5.4453 -0.5635 4.6213 3.0900 -5.5206 2.0776 0.4499 7.5503" Properties=species:S:1:pos:R:3 pbc="T T T"
F 3.9495 -3.6067 -0.4676
F 3.2117 0.0265 2.7053
F 7.1992 -1.4464 -4.3388
F 5.8398 1.7012 1.9338
F 5.2630 1.9336 -3.9783
F 7.7709 -1.6811 1.5677
F 5.0300 -3.1300 2.3541
F 2.0185 -0.2243 -0.1015
F 4.5264 -3.8390 5.4445
F 6.5776 -1.9319 -1.2391
F 4.7593 1.2246 -0.8879
F 2.5901 -0.4590 5.8050
Sr 3.3494 1.7699 1.0148
Sr 1.5452 -2.7227 -0.2817
Sr 1.0388 0.2249 3.7751
Rh 0.0000 0.0000 0.0000
```

Its space group is C2/m.

***

(two)
This record from Materials Project describes Sr3RhF12 after structural relaxation. The functional is PBE.

Cell and atoms, written as extended XYZ:
```
16
Lattice="-1.8795 -3.2555 -6.2183 -3.7235 -6.4494 -3.2402 -4.3879 6.8329 1.6201" Properties=species:S:1:pos:R:3 pbc="T T T"
F -5.4682 2.4133 -3.3150
F -4.2609 4.7241 0.6785
F -6.5854 -5.5481 -6.6648
F -4.5228 -5.2852 -4.5234
F -5.9000 -1.6442 -5.0447
F -5.7300 -7.5960 -8.5169
F -6.7036 0.2735 -2.9033
F -8.1011 -1.9274 -6.8968
F -1.8898 -0.9445 -0.9416
F -4.0910 -1.2277 -2.7937
F -3.2873 -3.1454 -4.9351
F -3.4056 2.6762 -1.1736
Sr -4.0557 0.1918 -0.8101
Sr -2.1939 3.4165 0.8101
Sr -0.9398 -1.6277 -3.1092
Rh 0.0000 0.0000 0.0000
```

Its space group is C2/m.

***

Which of them is the least stable? Correct choice: (two).

***

(one)
This record from Materials Project describes ZnSbF5 after structural relaxation. The functional is PBE.

Cell and atoms, written as extended XYZ:
```
28
Lattice="10.3925 0.0000 0.0000 0.0000 5.7421 0.0000 0.0000 4.0872 7.4354" Properties=species:S:1:pos:R:3 pbc="T T T"
Sb 2.4818 6.7770 2.5507
Sb 2.7145 8.8206 6.2684
Sb 7.6780 1.0087 1.1669
Sb 7.9107 3.0523 4.8846
F 6.5498 7.0240 4.6267
F 7.1843 4.8263 6.6774
F 9.7026 7.6210 5.1300
F 4.5064 4.2518 6.0231
F 1.1445 5.1104 2.7790
F 0.6898 2.2082 2.3054
F 9.2480 4.7189 4.6564
F 5.8861 5.5774 1.4123
F 4.0517 7.1540 6.4967
F 9.2371 2.1123 0.1672
F 4.0408 5.6734 3.5505
F 1.9880 7.0465 4.4756
F 3.8427 2.8052 2.8087
F 8.4045 2.7827 2.9597
F 3.2082 5.0030 0.7579
F 1.1554 7.7170 7.2681
F 6.3516 4.1559 3.8849
F 9.0390 4.9804 0.9090
F 6.3408 2.6753 0.9387
F 1.3535 4.8488 6.5264
Zn 0.0953 3.8906 1.5774
Zn 5.2915 3.8951 2.1403
Zn 5.1010 5.9342 5.2951
Zn 10.2972 5.9386 5.8580
```

Its space group is P2_1/c.

***

(two)
This record from Materials Project describes ZnSbF5 after structural relaxation. The functional is PBE.

Cell and atoms, written as extended XYZ:
```
14
Lattice="1.5489 0.3843 5.4114 4.2323 -3.5949 0.9971 7.9449 4.0023 1.2218" Properties=species:S:1:pos:R:3 pbc="T T T"
F 4.6142 0.3895 1.8644
F 5.6985 -1.8544 4.7145
F 9.4363 0.4948 5.7115
F 3.1252 -0.4406 4.5082
F 8.2583 2.8777 3.0156
F 5.9040 0.9652 4.2781
F 7.4274 2.5775 5.6270
F 8.3296 -0.2664 3.0925
F 10.7451 1.6782 3.4600
F 5.3690 -2.2620 1.8674
Sb 12.0177 0.4505 2.2669
Sb 5.4642 2.2767 5.9018
Zn 4.8081 -0.6213 3.4907
Zn 8.7849 1.3734 4.0945
```

Its space group is Cc.

***

Which of them is the least stable? Correct choice: (two).